DFT (PBE) results for a relaxed structure of MgFeCuS2.

As for the crystal system: monoclinic. The calculation puts the formation energy at -435 meV/atom. Its polymorph energy (0 for the lowest one) is 205.8 meV/atom. The magnetic moment is 1.0 μB per formula unit.

a = 3.4158 Å, b = 3.4158 Å, c = 7.9139 Å
α = 102.55°, β = 102.55°, γ = 60.01°
Fractional coordinates of all 5 atoms:
1 Mg 0.0000 0.0000 0.0000
2 Fe 0.1324 0.1324 0.3981
3 Cu 0.2492 0.2492 0.7466
4 S 0.4119 0.4119 0.2381
5 S 0.8495 0.8495 0.5485

***

DFT (PBE) results for a relaxed structure of LaYMg6.

The calculation puts the formation energy at -43 meV/atom. Its polymorph energy (0 for the lowest one) is 61.8 meV/atom. The magnetic moment is 0.0 μB per formula unit.

a = 5.0247 Å, b = 8.4213 Å, c = 10.0644 Å
α = 90.00°, β = 90.00°, γ = 90.00°
Fractional coordinates of all 16 atoms:
1 Y 0.5000 0.0000 0.8694
2 Y 0.5000 0.5000 0.3694
3 Mg 0.0000 0.5000 0.6242
4 Mg 0.0000 0.2619 0.3802
5 Mg 0.5000 0.2562 0.6218
6 Mg 0.0000 0.7381 0.3802
7 Mg 0.0000 0.0000 0.6260
8 Mg 0.0000 0.2381 0.8802
9 Mg 0.5000 0.2438 0.1218
10 Mg 0.0000 0.5000 0.1260
11 Mg 0.0000 0.0000 0.1242
12 Mg 0.5000 0.7562 0.1218
13 Mg 0.0000 0.7619 0.8802
14 Mg 0.5000 0.7438 0.6218
15 La 0.5000 0.0000 0.3764
16 La 0.5000 0.5000 0.8764

***

DFT (PBE) results for a relaxed structure of UCdO4.

As for the crystal system: orthorhombic. The calculation puts the formation energy at -2919 meV/atom. Its polymorph energy (0 for the lowest one) is 0.0 meV/atom.

a = 5.0240 Å, b = 5.0240 Å, c = 3.5268 Å
α = 90.00°, β = 90.00°, γ = 92.03°
Fractional coordinates of all 6 atoms:
1 U 0.0000 0.0000 0.0000
2 Cd 0.5000 0.5000 0.5000
3 O 0.1759 0.8241 0.5000
4 O 0.2829 0.2829 0.0000
5 O 0.7171 0.7171 0.0000
6 O 0.8241 0.1759 0.5000

***

DFT (PBE) results for a relaxed structure of ScIr3.

As for the crystal system: cubic. The calculation puts the formation energy at -621 meV/atom.

a = 3.9490 Å, b = 3.9490 Å, c = 3.9490 Å
α = 90.00°, β = 90.00°, γ = 90.00°
Fractional coordinates of all 4 atoms:
1 Sc 0.0000 0.0000 0.0000
2 Ir 0.0000 0.5000 0.5000
3 Ir 0.5000 0.0000 0.5000
4 Ir 0.5000 0.5000 0.0000

***

DFT (PBE) results for a relaxed structure of KMg15.

As for the crystal system: hexagonal. The calculation puts the formation energy at 101 meV/atom. The magnetic moment is 0.0 μB per formula unit.

a = 6.5893 Å, b = 6.5893 Å, c = 10.4875 Å
α = 90.00°, β = 90.00°, γ = 120.00°
Fractional coordinates of all 16 atoms:
1 K 0.0000 0.0000 0.0000
2 Mg 0.0000 0.0000 0.5000
3 Mg 0.0029 0.5015 0.5000
4 Mg 0.3333 0.6667 0.2474
5 Mg 0.3333 0.6667 0.7526
6 Mg 0.3431 0.1715 0.2632
7 Mg 0.3431 0.1715 0.7368
8 Mg 0.4985 0.5015 0.5000
9 Mg 0.4985 0.9971 0.5000
10 Mg 0.5033 0.0067 0.0000
11 Mg 0.5033 0.4967 0.0000
12 Mg 0.8285 0.1715 0.2632
13 Mg 0.8285 0.1715 0.7368
14 Mg 0.8285 0.6569 0.2632
15 Mg 0.8285 0.6569 0.7368
16 Mg 0.9933 0.4967 0.0000

***

DFT (PBE) results for a relaxed structure of Cs2HgCl4.

As for the crystal system: monoclinic. The calculation puts the formation energy at -1770 meV/atom. Its polymorph energy (0 for the lowest one) is 0.0 meV/atom.

a = 9.9018 Å, b = 7.9240 Å, c = 27.8855 Å
α = 90.00°, β = 90.41°, γ = 90.00°
Fractional coordinates of all 56 atoms:
1 Cs 0.0089 0.2444 0.1566
2 Cs 0.0089 0.2556 0.6566
3 Cs 0.1248 0.7309 0.0584
4 Cs 0.1248 0.7691 0.5584
5 Cs 0.3799 0.2458 0.2890
6 Cs 0.3799 0.2542 0.7890
7 Cs 0.4842 0.7143 0.4125
8 Cs 0.4842 0.7857 0.9125
9 Cs 0.5158 0.2143 0.0875
10 Cs 0.5158 0.2857 0.5875
11 Cs 0.6201 0.7458 0.2110
12 Cs 0.6201 0.7542 0.7110
13 Cs 0.8752 0.2309 0.4416
14 Cs 0.8752 0.2691 0.9416
15 Cs 0.9911 0.7444 0.3434
16 Cs 0.9911 0.7556 0.8434
17 Hg 0.2083 0.7296 0.2133
18 Hg 0.2083 0.7704 0.7133
19 Hg 0.2797 0.2197 0.4595
20 Hg 0.2797 0.2803 0.9595
21 Hg 0.7203 0.7197 0.0405
22 Hg 0.7203 0.7803 0.5405
23 Hg 0.7917 0.2296 0.2867
24 Hg 0.7917 0.2704 0.7867
25 Cl 0.0351 0.1564 0.2826
26 Cl 0.0351 0.3436 0.7826
27 Cl 0.1744 0.5649 0.9406
28 Cl 0.1744 0.9351 0.4406
29 Cl 0.1777 0.1958 0.0398
30 Cl 0.1777 0.3042 0.5398
31 Cl 0.1968 0.0791 0.8945
32 Cl 0.1968 0.4209 0.3945
33 Cl 0.2997 0.5140 0.6699
34 Cl 0.2997 0.9860 0.1699
35 Cl 0.3194 0.0202 0.6696
36 Cl 0.3194 0.4798 0.1696
37 Cl 0.3289 0.7481 0.2948
38 Cl 0.3289 0.7519 0.7948
39 Cl 0.4674 0.7355 0.0414
40 Cl 0.4674 0.7645 0.5414
41 Cl 0.5326 0.2355 0.4586
42 Cl 0.5326 0.2645 0.9586
43 Cl 0.6711 0.2481 0.2052
44 Cl 0.6711 0.2519 0.7052
45 Cl 0.6806 0.5202 0.8304
46 Cl 0.6806 0.9798 0.3304
47 Cl 0.7003 0.0140 0.8301
48 Cl 0.7003 0.4860 0.3301
49 Cl 0.8032 0.5791 0.6055
50 Cl 0.8032 0.9209 0.1055
51 Cl 0.8223 0.6958 0.4602
52 Cl 0.8223 0.8042 0.9602
53 Cl 0.8256 0.0649 0.5594
54 Cl 0.8256 0.4351 0.0594
55 Cl 0.9649 0.6564 0.2174
56 Cl 0.9649 0.8436 0.7174

***

DFT (PBE) results for a relaxed structure of Na8Al3Ga3Si6Cl2O24.

As for the crystal system: trigonal. The calculation puts the formation energy at -2857 meV/atom. The magnetic moment is 0.0 μB per formula unit.

a = 9.0157 Å, b = 9.0157 Å, c = 9.0157 Å
α = 90.01°, β = 90.01°, γ = 90.01°
Fractional coordinates of all 46 atoms:
1 Na 0.0000 0.0000 0.0000
2 Na 0.3508 0.9991 0.3520
3 Na 0.3520 0.3508 0.9991
4 Na 0.4994 0.4994 0.4994
5 Na 0.5004 0.8523 0.8512
6 Na 0.8512 0.5004 0.8523
7 Na 0.8523 0.8512 0.5004
8 Na 0.9991 0.3520 0.3508
9 Al 0.1761 0.6753 0.4257
10 Al 0.4257 0.1761 0.6753
11 Al 0.6753 0.4257 0.1761
12 Ga 0.1761 0.6755 0.9257
13 Ga 0.6755 0.9257 0.1761
14 Ga 0.9257 0.1761 0.6755
15 Si 0.1774 0.4257 0.6732
16 Si 0.1781 0.9257 0.6739
17 Si 0.4257 0.6732 0.1774
18 Si 0.6732 0.1774 0.4257
19 Si 0.6739 0.1781 0.9257
20 Si 0.9257 0.6739 0.1781
21 Cl 0.1758 0.1758 0.1758
22 Cl 0.6755 0.6755 0.6755
23 O 0.0207 0.7442 0.0390
24 O 0.0292 0.6103 0.3139
25 O 0.0390 0.0207 0.7442
26 O 0.0403 0.3281 0.6029
27 O 0.1070 0.5206 0.8121
28 O 0.1142 0.8246 0.5362
29 O 0.2412 0.5291 0.5377
30 O 0.2483 0.8281 0.8111
31 O 0.3139 0.0292 0.6103
32 O 0.3148 0.3247 0.7373
33 O 0.3247 0.7373 0.3148
34 O 0.3281 0.6029 0.0403
35 O 0.5206 0.8121 0.1070
36 O 0.5291 0.5377 0.2412
37 O 0.5362 0.1142 0.8246
38 O 0.5377 0.2412 0.5291
39 O 0.6029 0.0403 0.3281
40 O 0.6103 0.3139 0.0292
41 O 0.7373 0.3148 0.3247
42 O 0.7442 0.0390 0.0207
43 O 0.8111 0.2483 0.8281
44 O 0.8121 0.1070 0.5206
45 O 0.8246 0.5362 0.1142
46 O 0.8281 0.8111 0.2483

***

DFT (PBE) results for a relaxed structure of Ba5P3O13.

As for the crystal system: hexagonal. The calculation puts the formation energy at -3194 meV/atom. The magnetic moment is 1.0 μB per formula unit.

a = 10.2330 Å, b = 10.2330 Å, c = 7.7252 Å
α = 90.00°, β = 90.00°, γ = 120.00°
Fractional coordinates of all 42 atoms:
1 Ba 0.0180 0.2452 0.2500
2 Ba 0.2272 0.9820 0.2500
3 Ba 0.2452 0.2272 0.7500
4 Ba 0.3333 0.6667 0.5019
5 Ba 0.3333 0.6667 0.9981
6 Ba 0.6667 0.3333 0.0019
7 Ba 0.6667 0.3333 0.4981
8 Ba 0.7548 0.7728 0.2500
9 Ba 0.7728 0.0180 0.7500
10 Ba 0.9820 0.7548 0.7500
11 P 0.0288 0.4038 0.7500
12 P 0.3750 0.9712 0.7500
13 P 0.4038 0.3750 0.2500
14 P 0.5962 0.6250 0.7500
15 P 0.6250 0.0288 0.2500
16 P 0.9712 0.5962 0.2500
17 O 0.0000 0.0000 0.0000
18 O 0.0000 0.0000 0.5000
19 O 0.0788 0.3493 0.5866
20 O 0.0788 0.3493 0.9134
21 O 0.1113 0.5797 0.7500
22 O 0.1435 0.6621 0.2500
23 O 0.2705 0.9212 0.5866
24 O 0.2705 0.9212 0.9134
25 O 0.3379 0.4814 0.2500
26 O 0.3493 0.2705 0.0866
27 O 0.3493 0.2705 0.4134
28 O 0.4203 0.5316 0.7500
29 O 0.4684 0.8887 0.7500
30 O 0.4814 0.1435 0.7500
31 O 0.5186 0.8565 0.2500
32 O 0.5316 0.1113 0.2500
33 O 0.5797 0.4684 0.2500
34 O 0.6507 0.7295 0.5866
35 O 0.6507 0.7295 0.9134
36 O 0.6621 0.5186 0.7500
37 O 0.7295 0.0788 0.0866
38 O 0.7295 0.0788 0.4134
39 O 0.8565 0.3379 0.7500
40 O 0.8887 0.4203 0.2500
41 O 0.9212 0.6507 0.0866
42 O 0.9212 0.6507 0.4134

***

DFT (PBE) results for a relaxed structure of NaPu.

As for the crystal system: triclinic. The calculation puts the formation energy at 470 meV/atom. Its polymorph energy (0 for the lowest one) is 0.0 meV/atom. The magnetic moment is 1.4 μB per formula unit.

a = 5.4948 Å, b = 6.7981 Å, c = 9.1373 Å
α = 82.68°, β = 78.79°, γ = 85.85°
Fractional coordinates of all 12 atoms:
1 Na 0.0796 0.4677 0.2665
2 Na 0.2305 0.1711 0.9352
3 Na 0.3523 0.6965 0.8723
4 Na 0.6477 0.3035 0.1277
5 Na 0.7695 0.8289 0.0648
6 Na 0.9204 0.5323 0.7335
7 Pu 0.2086 0.1299 0.5628
8 Pu 0.2208 0.9505 0.3433
9 Pu 0.4346 0.6794 0.4649
10 Pu 0.5654 0.3206 0.5351
11 Pu 0.7792 0.0495 0.6567
12 Pu 0.7914 0.8701 0.4372

***

DFT (PBE) results for a relaxed structure of BaCu8P4.

As for the crystal system: tetragonal. The calculation puts the formation energy at -286 meV/atom.

a = 7.4681 Å, b = 7.4681 Å, c = 7.4681 Å
α = 93.84°, β = 93.84°, γ = 150.01°
Fractional coordinates of all 13 atoms:
1 Ba 0.0000 0.0000 0.0000
2 Cu 0.0136 0.6344 0.6480
3 Cu 0.2290 0.3386 0.5676
4 Cu 0.3386 0.7710 0.1096
5 Cu 0.3656 0.0136 0.3793
6 Cu 0.6344 0.9864 0.6207
7 Cu 0.6614 0.2290 0.8904
8 Cu 0.7710 0.6614 0.4324
9 Cu 0.9864 0.3656 0.3520
10 P 0.2336 0.5752 0.8088
11 P 0.4248 0.2336 0.6585
12 P 0.5752 0.7664 0.3415
13 P 0.7664 0.4248 0.1912

***

DFT (PBE) results for a relaxed structure of MnInAgPd.

As for the crystal system: cubic. The calculation puts the formation energy at -134 meV/atom. The magnetic moment is 4.1 μB per formula unit.

a = 4.6145 Å, b = 4.6145 Å, c = 4.6145 Å
α = 60.00°, β = 60.00°, γ = 60.00°
Fractional coordinates of all 4 atoms:
1 Mn 0.0000 0.0000 0.0000
2 In 0.5000 0.5000 0.5000
3 Ag 0.2500 0.2500 0.2500
4 Pd 0.7500 0.7500 0.7500

***

DFT (PBE) results for a relaxed structure of TeAs2O4.

As for the crystal system: triclinic. The calculation puts the formation energy at -1141 meV/atom. Its polymorph energy (0 for the lowest one) is 0.0 meV/atom. The magnetic moment is 0.0 μB per formula unit.

a = 3.6923 Å, b = 6.0252 Å, c = 6.5153 Å
α = 112.55°, β = 98.03°, γ = 106.70°
Fractional coordinates of all 7 atoms:
1 Te 0.0000 0.0000 0.0000
2 As 0.1533 0.9484 0.4992
3 As 0.6285 0.4286 0.5090
4 O 0.0184 0.1360 0.7485
5 O 0.2833 0.3827 0.2568
6 O 0.5136 0.6470 0.7378
7 O 0.7866 0.9016 0.2625